1.
Entry from the Materials Project: a relaxed Cd2Hg2HSe2O10 crystal (GGA-PBE).

Unit cell a=8.126 b=6.453 c=11.882 alpha=90.00 beta=117.73 gamma=90.00
Element x y z (fractional)
Cd  0.244  0.004  0.078
Cd  0.244  0.996  0.578
Cd  0.756  0.004  0.422
Cd  0.756  0.996  0.922
Hg  0.000  0.219  0.250
Hg  0.000  0.500  0.000
Hg  0.000  0.500  0.500
Hg  0.000  0.781  0.750
H  0.500  0.203  0.250
H  0.500  0.797  0.750
Se  0.334  0.288  0.855
Se  0.334  0.712  0.355
Se  0.666  0.288  0.645
Se  0.666  0.712  0.145
O  0.009  0.205  0.431
O  0.009  0.795  0.931
O  0.219  0.095  0.751
O  0.219  0.905  0.251
O  0.265  0.276  0.970
O  0.265  0.724  0.470
O  0.273  0.484  0.283
O  0.273  0.516  0.783
O  0.437  0.248  0.579
O  0.437  0.752  0.079
O  0.563  0.248  0.921
O  0.563  0.752  0.421
O  0.727  0.484  0.217
O  0.727  0.516  0.717
O  0.735  0.276  0.530
O  0.735  0.724  0.030
O  0.781  0.095  0.749
O  0.781  0.905  0.249
O  0.991  0.205  0.069
O  0.991  0.795  0.569

Output
As for the energy of formation from the pure elements: -0.95 eV per atom. The total magnetization is 1.0 μB/f.u. The value obtained for the corrected total energy (MP2020 scheme) is -4.61 eV per atom.


2.
Entry from the Materials Project: a relaxed Na42Mg8Nb16Si33S3O144 crystal (GGA-PBE).

Unit cell a=9.127 b=15.790 c=22.413 alpha=89.78 beta=89.90 gamma=89.98
Element x y z (fractional)
Na  0.000  0.000  0.000
Na  0.000  0.661  0.336
Na  0.019  0.338  0.659
Na  0.036  0.362  0.001
Na  0.078  0.675  0.003
Na  0.080  0.339  0.336
Na  0.192  0.843  0.584
Na  0.195  0.175  0.255
Na  0.196  0.173  0.753
Na  0.199  0.513  0.417
Na  0.202  0.847  0.078
Na  0.214  0.512  0.918
Na  0.321  0.337  0.836
Na  0.331  0.673  0.506
Na  0.342  0.014  0.159
Na  0.368  0.364  0.500
Na  0.371  0.690  0.160
Na  0.375  0.037  0.838
Na  0.382  0.333  0.161
Na  0.401  0.663  0.836
Na  0.407  0.999  0.500
Na  0.496  0.500  0.000
Na  0.499  0.162  0.335
Na  0.515  0.835  0.660
Na  0.531  0.191  0.660
Na  0.532  0.870  0.000
Na  0.567  0.167  0.003
Na  0.580  0.839  0.337
Na  0.698  0.012  0.418
Na  0.698  0.351  0.581
Na  0.700  0.668  0.256
Na  0.701  0.013  0.923
Na  0.704  0.349  0.083
Na  0.704  0.675  0.751
Na  0.826  0.837  0.837
Na  0.830  0.174  0.505
Na  0.868  0.863  0.501
Na  0.879  0.193  0.160
Na  0.879  0.537  0.830
Na  0.885  0.837  0.159
Na  0.905  0.160  0.837
Na  0.907  0.500  0.500
Mg  0.194  0.513  0.564
Mg  0.201  0.180  0.894
Mg  0.205  0.180  0.390
Mg  0.209  0.512  0.064
Mg  0.693  0.012  0.563
Mg  0.695  0.683  0.891
Mg  0.702  0.013  0.061
Mg  0.705  0.680  0.391
Nb  0.196  0.844  0.725
Nb  0.201  0.515  0.764
Nb  0.201  0.846  0.227
Nb  0.202  0.181  0.097
Nb  0.202  0.847  0.935
Nb  0.203  0.512  0.266
Nb  0.205  0.186  0.603
Nb  0.205  0.840  0.431
Nb  0.697  0.340  0.931
Nb  0.698  0.685  0.103
Nb  0.701  0.349  0.725
Nb  0.702  0.013  0.765
Nb  0.703  0.341  0.431
Nb  0.704  0.013  0.267
Nb  0.706  0.349  0.226
Nb  0.709  0.687  0.604
Si  0.054  0.369  0.159
Si  0.054  0.656  0.161
Si  0.055  0.990  0.829
Si  0.057  0.327  0.492
Si  0.057  0.699  0.831
Si  0.346  0.328  0.992
Si  0.346  0.993  0.329
Si  0.348  0.034  0.992
Si  0.348  0.658  0.658
Si  0.351  0.696  0.328
Si  0.352  0.372  0.659
Si  0.406  0.012  0.660
Si  0.409  0.677  0.992
Si  0.411  0.349  0.329
Si  0.492  0.847  0.828
Si  0.494  0.178  0.492
Si  0.495  0.512  0.160
Si  0.554  0.198  0.826
Si  0.554  0.492  0.830
Si  0.554  0.870  0.161
Si  0.557  0.159  0.161
Si  0.558  0.826  0.492
Si  0.846  0.825  0.992
Si  0.847  0.493  0.330
Si  0.849  0.157  0.660
Si  0.850  0.197  0.328
Si  0.852  0.872  0.659
Si  0.909  0.180  0.992
Si  0.909  0.515  0.660
Si  0.909  0.849  0.330
Si  0.993  0.013  0.160
Si  0.994  0.347  0.829
Si  0.994  0.678  0.492
S  0.061  0.036  0.495
S  0.561  0.536  0.495
S  0.844  0.535  0.995
O  0.000  0.489  0.602
O  0.003  0.523  0.001
O  0.006  0.169  0.934
O  0.016  0.526  0.720
O  0.019  0.196  0.052
O  0.019  0.860  0.389
O  0.022  0.841  0.272
O  0.023  0.193  0.332
O  0.025  0.854  0.670
O  0.028  0.493  0.324
O  0.029  0.171  0.657
O  0.031  0.828  0.993
O  0.078  0.421  0.099
O  0.084  0.929  0.888
O  0.089  0.264  0.553
O  0.089  0.598  0.221
O  0.089  0.771  0.492
O  0.090  0.086  0.442
O  0.090  0.436  0.825
O  0.094  0.264  0.829
O  0.095  0.099  0.158
O  0.098  0.761  0.775
O  0.106  0.931  0.171
O  0.108  0.600  0.500
O  0.120  0.280  0.435
O  0.121  0.754  0.171
O  0.125  0.077  0.550
O  0.126  0.082  0.830
O  0.127  0.421  0.498
O  0.127  0.937  0.774
O  0.133  0.415  0.218
O  0.133  0.949  0.493
O  0.134  0.273  0.157
O  0.134  0.622  0.102
O  0.136  0.745  0.890
O  0.142  0.606  0.825
O  0.257  0.607  0.325
O  0.260  0.940  0.992
O  0.270  0.082  0.053
O  0.270  0.275  0.658
O  0.270  0.745  0.387
O  0.271  0.415  0.719
O  0.276  0.422  0.999
O  0.281  0.086  0.330
O  0.282  0.284  0.933
O  0.282  0.619  0.600
O  0.284  0.940  0.271
O  0.285  0.755  0.670
O  0.295  0.599  0.000
O  0.303  0.929  0.672
O  0.304  0.757  0.271
O  0.308  0.434  0.324
O  0.309  0.100  0.656
O  0.310  0.598  0.719
O  0.311  0.265  0.330
O  0.312  0.929  0.388
O  0.317  0.265  0.052
O  0.317  0.769  0.992
O  0.319  0.090  0.934
O  0.324  0.421  0.599
O  0.370  0.833  0.491
O  0.374  0.495  0.824
O  0.375  0.167  0.158
O  0.377  0.851  0.170
O  0.380  0.190  0.828
O  0.380  0.529  0.217
O  0.381  0.192  0.553
O  0.382  0.837  0.771
O  0.383  0.862  0.887
O  0.394  0.164  0.435
O  0.400  0.522  0.500
O  0.406  0.491  0.101
O  0.500  0.992  0.602
O  0.509  0.660  0.935
O  0.518  0.030  0.719
O  0.519  0.360  0.388
O  0.521  0.019  0.001
O  0.523  0.339  0.272
O  0.523  0.690  0.052
O  0.523  0.693  0.332
O  0.525  0.349  0.669
O  0.527  0.993  0.324
O  0.529  0.671  0.657
O  0.532  0.334  0.992
O  0.571  0.925  0.103
O  0.586  0.096  0.220
O  0.586  0.430  0.890
O  0.587  0.764  0.554
O  0.589  0.271  0.493
O  0.589  0.935  0.823
O  0.590  0.585  0.442
O  0.594  0.599  0.156
O  0.595  0.764  0.829
O  0.600  0.258  0.771
O  0.600  0.429  0.172
O  0.609  0.101  0.499
O  0.621  0.780  0.435
O  0.622  0.255  0.171
O  0.625  0.438  0.774
O  0.625  0.575  0.550
O  0.627  0.921  0.498
O  0.632  0.245  0.887
O  0.632  0.582  0.832
O  0.632  0.774  0.158
O  0.632  0.912  0.221
O  0.633  0.448  0.493
O  0.635  0.122  0.103
O  0.641  0.107  0.825
O  0.756  0.108  0.325
O  0.766  0.777  0.658
O  0.769  0.246  0.387
O  0.770  0.121  0.602
O  0.770  0.916  0.718
O  0.771  0.448  0.993
O  0.778  0.577  0.048
O  0.781  0.586  0.332
O  0.781  0.779  0.934
O  0.781  0.919  0.999
O  0.782  0.254  0.670
O  0.782  0.438  0.274
O  0.800  0.101  0.000
O  0.803  0.598  0.655
O  0.804  0.430  0.672
O  0.805  0.257  0.271
O  0.807  0.934  0.325
O  0.812  0.098  0.720
O  0.812  0.272  0.992
O  0.812  0.763  0.053
O  0.812  0.765  0.329
O  0.815  0.430  0.389
O  0.815  0.582  0.939
O  0.824  0.921  0.598
O  0.870  0.333  0.492
O  0.874  0.670  0.156
O  0.874  0.994  0.823
O  0.876  0.692  0.551
O  0.878  0.349  0.169
O  0.879  0.027  0.218
O  0.881  0.363  0.887
O  0.882  0.339  0.772
O  0.883  0.686  0.833
O  0.896  0.664  0.434
O  0.900  0.990  0.102
O  0.901  0.024  0.501

Output
As for the energy of formation from the pure elements: -2.84 eV per atom. The total magnetization is 0.0 μB/f.u. The value obtained for the corrected total energy (MP2020 scheme) is -7.45 eV per atom.